No. 1
Material: Na10Si9Sn8S3O48
Method: DFT, GGA-PBE
State: optimized geometry

```
Na10Si9Sn8S3O48
1.0
9.004 0.000 0.000
0.007 15.625 0.000
0.058 0.102 22.697
Na Si Sn S O
30 27 24 9 144
Direct
0.000 0.000 0.000
0.001 0.335 0.666
0.008 0.666 0.329
0.010 0.302 0.332
0.055 0.984 0.325
0.172 0.492 0.579
0.189 0.497 0.079
0.191 0.817 0.244
0.192 0.165 0.913
0.195 0.823 0.747
0.207 0.157 0.414
0.369 0.640 0.497
0.372 0.666 0.830
0.378 0.335 0.166
0.495 0.501 0.999
0.500 0.833 0.666
0.508 0.166 0.329
0.509 0.802 0.332
0.555 0.484 0.325
0.670 0.991 0.578
0.682 0.325 0.743
0.687 0.997 0.080
0.689 0.661 0.913
0.691 0.318 0.244
0.707 0.657 0.414
0.830 0.483 0.824
0.870 0.140 0.496
0.872 0.801 0.832
0.878 0.834 0.166
0.882 0.169 0.833
0.041 0.671 0.495
0.042 0.629 0.830
0.045 0.003 0.160
0.050 0.337 0.828
0.334 0.340 0.327
0.335 0.004 0.662
0.337 0.671 0.995
0.338 0.629 0.331
0.390 0.317 0.995
0.398 0.647 0.661
0.400 0.983 0.328
0.481 0.147 0.162
0.481 0.480 0.829
0.492 0.819 0.496
0.541 0.171 0.495
0.543 0.841 0.827
0.545 0.502 0.160
0.834 0.840 0.327
0.836 0.171 0.994
0.837 0.503 0.662
0.838 0.129 0.331
0.893 0.815 0.995
0.895 0.148 0.661
0.901 0.483 0.328
0.981 0.647 0.162
0.984 0.984 0.829
0.992 0.319 0.496
0.179 0.485 0.431
0.179 0.812 0.098
0.182 0.146 0.763
0.189 0.151 0.059
0.189 0.490 0.727
0.191 0.814 0.892
0.192 0.491 0.227
0.192 0.813 0.394
0.194 0.146 0.264
0.194 0.484 0.929
0.196 0.149 0.560
0.205 0.814 0.598
0.675 0.312 0.097
0.679 0.985 0.431
0.685 0.645 0.765
0.689 0.316 0.894
0.689 0.651 0.059
0.690 0.985 0.725
0.692 0.313 0.394
0.692 0.991 0.227
0.694 0.646 0.264
0.696 0.649 0.560
0.700 0.981 0.932
0.703 0.314 0.597
0.040 0.298 0.162
0.045 0.962 0.496
0.338 0.296 0.662
0.338 0.962 0.995
0.540 0.798 0.162
0.541 0.130 0.829
0.544 0.462 0.495
0.839 0.462 0.996
0.840 0.797 0.662
0.000 0.472 0.993
0.002 0.809 0.655
0.003 0.457 0.272
0.015 0.831 0.335
0.016 0.152 0.999
0.017 0.484 0.665
0.018 0.142 0.322
0.055 0.565 0.886
0.063 0.247 0.217
0.063 0.726 0.434
0.064 0.396 0.768
0.070 0.060 0.101
0.076 0.909 0.548
0.081 0.561 0.165
0.081 0.897 0.835
0.082 0.226 0.501
0.083 0.736 0.159
0.085 0.071 0.825
0.100 0.402 0.492
0.105 0.924 0.440
0.109 0.045 0.221
0.110 0.257 0.110
0.111 0.049 0.499
0.115 0.381 0.886
0.116 0.382 0.166
0.117 0.724 0.834
0.122 0.719 0.551
0.124 0.240 0.822
0.126 0.907 0.156
0.129 0.593 0.772
0.135 0.580 0.492
0.249 0.382 0.384
0.249 0.591 0.275
0.255 0.909 0.657
0.257 0.244 0.322
0.259 0.575 0.991
0.263 0.047 0.999
0.264 0.380 0.668
0.264 0.725 0.334
0.268 0.258 0.610
0.269 0.922 0.942
0.270 0.048 0.722
0.271 0.718 0.053
0.290 0.230 0.000
0.290 0.404 0.990
0.290 0.900 0.336
0.293 0.067 0.323
0.296 0.735 0.659
0.299 0.560 0.665
0.313 0.064 0.604
0.315 0.911 0.049
0.316 0.243 0.716
0.317 0.397 0.267
0.318 0.727 0.934
0.326 0.569 0.390
0.362 0.159 0.500
0.363 0.485 0.165
0.365 0.826 0.833
0.375 0.138 0.105
0.379 0.463 0.772
0.379 0.809 0.156
0.380 0.142 0.823
0.381 0.473 0.492
0.384 0.171 0.221
0.387 0.800 0.437
0.390 0.503 0.889
0.395 0.835 0.556
0.489 0.340 0.054
0.497 0.011 0.385
0.498 0.638 0.601
0.500 0.302 0.938
0.500 0.974 0.988
0.501 0.307 0.656
0.501 0.671 0.719
0.503 0.957 0.272
0.515 0.331 0.335
0.517 0.986 0.666
0.518 0.642 0.322
0.519 0.653 0.000
0.563 0.226 0.434
0.563 0.747 0.218
0.565 0.078 0.883
0.570 0.560 0.101
0.570 0.894 0.766
0.575 0.410 0.548
0.581 0.061 0.166
0.583 0.726 0.500
0.584 0.235 0.159
0.585 0.567 0.825
0.600 0.399 0.834
0.600 0.902 0.492
0.605 0.424 0.440
0.609 0.544 0.221
0.610 0.757 0.111
0.611 0.092 0.776
0.611 0.549 0.498
0.617 0.215 0.833
0.617 0.882 0.166
0.622 0.218 0.551
0.625 0.746 0.823
0.626 0.407 0.157
0.626 0.885 0.883
0.636 0.080 0.492
0.749 0.091 0.275
0.749 0.882 0.384
0.754 0.076 0.991
0.754 0.408 0.657
0.757 0.744 0.322
0.763 0.547 0.000
0.764 0.225 0.334
0.765 0.883 0.665
0.769 0.218 0.052
0.769 0.757 0.610
0.772 0.543 0.724
0.774 0.425 0.941
0.791 0.400 0.336
0.792 0.236 0.659
0.792 0.729 0.001
0.792 0.904 0.993
0.793 0.567 0.323
0.794 0.062 0.667
0.806 0.409 0.049
0.812 0.565 0.605
0.814 0.225 0.932
0.817 0.748 0.717
0.817 0.897 0.267
0.826 0.069 0.390
0.862 0.643 0.823
0.862 0.659 0.500
0.864 0.985 0.164
0.865 0.324 0.834
0.874 0.965 0.773
0.875 0.638 0.105
0.878 0.309 0.156
0.881 0.973 0.493
0.884 0.671 0.222
0.886 0.010 0.888
0.888 0.300 0.437
0.894 0.335 0.556
0.993 0.806 0.936
0.994 0.840 0.053
0.995 0.172 0.719
0.996 0.136 0.601
0.997 0.511 0.385
```

Results
Its crystal system is triclinic. The space group is P1.

=====

No. 2
Material: Na2Si5Sn8S7O48
Method: DFT, GGA-PBE
State: optimized geometry

```
Na2Si5Sn8S7O48
1.0
8.830 0.000 0.000
-0.031 15.270 0.000
-0.013 -0.068 23.049
Na Si Sn S O
6 15 24 21 144
Direct
0.000 0.000 0.000
0.003 0.654 0.653
0.484 0.147 0.158
0.493 0.499 0.495
0.505 0.153 0.662
0.988 0.656 0.164
0.137 0.180 0.080
0.145 0.473 0.078
0.150 0.517 0.406
0.197 0.157 0.410
0.285 0.992 0.241
0.294 0.658 0.910
0.346 0.015 0.906
0.349 0.974 0.578
0.355 0.681 0.580
0.635 0.348 0.745
0.648 0.969 0.074
0.711 0.989 0.742
0.783 0.489 0.242
0.854 0.469 0.574
0.861 0.848 0.245
0.001 0.333 0.466
0.005 0.658 0.812
0.008 0.990 0.344
0.010 0.653 0.014
0.011 0.324 0.980
0.017 0.652 0.514
0.477 0.150 0.016
0.479 0.152 0.308
0.482 0.825 0.477
0.485 0.151 0.511
0.491 0.833 0.970
0.496 0.490 0.848
0.497 0.833 0.679
0.498 0.493 0.138
0.498 0.493 0.344
0.509 0.154 0.805
0.510 0.492 0.638
0.512 0.838 0.185
0.980 0.331 0.680
0.987 0.655 0.304
0.994 0.994 0.845
0.995 0.992 0.638
0.995 0.993 0.141
0.997 0.330 0.180
0.140 0.802 0.411
0.141 0.142 0.741
0.141 0.843 0.744
0.204 0.492 0.742
0.207 0.824 0.077
0.286 0.324 0.579
0.352 0.302 0.910
0.353 0.345 0.243
0.353 0.640 0.241
0.637 0.301 0.410
0.643 0.682 0.075
0.645 0.009 0.411
0.649 0.640 0.745
0.704 0.324 0.074
0.705 0.663 0.412
0.789 0.164 0.912
0.789 0.824 0.575
0.845 0.141 0.245
0.849 0.181 0.574
0.852 0.510 0.911
0.853 0.802 0.911
0.061 0.215 0.019
0.061 0.570 0.075
0.063 0.755 0.748
0.064 0.432 0.135
0.067 0.082 0.082
0.071 0.229 0.732
0.071 0.423 0.413
0.072 0.105 0.794
0.072 0.764 0.464
0.072 0.889 0.406
0.073 0.562 0.350
0.073 0.882 0.691
0.090 0.072 0.401
0.091 0.241 0.421
0.098 0.570 0.748
0.101 0.746 0.072
0.106 0.240 0.136
0.114 0.411 0.737
0.114 0.895 0.797
0.114 0.903 0.081
0.115 0.748 0.359
0.119 0.085 0.689
0.121 0.420 0.017
0.139 0.574 0.466
0.158 0.004 0.900
0.166 0.983 0.586
0.170 0.680 0.575
0.184 0.310 0.915
0.184 0.637 0.964
0.185 0.016 0.185
0.187 0.649 0.248
0.188 0.333 0.239
0.194 0.307 0.632
0.194 0.334 0.526
0.195 0.680 0.851
0.197 0.980 0.302
0.293 0.482 0.796
0.295 0.833 0.023
0.296 0.511 0.691
0.300 0.137 0.467
0.300 0.806 0.129
0.305 0.183 0.355
0.305 0.831 0.739
0.307 0.152 0.747
0.309 0.809 0.416
0.324 0.181 0.075
0.328 0.483 0.086
0.337 0.504 0.401
0.358 0.076 0.964
0.371 0.581 0.190
0.374 0.918 0.519
0.376 0.399 0.296
0.376 0.405 0.584
0.377 0.249 0.857
0.379 0.901 0.237
0.388 0.738 0.639
0.391 0.248 0.573
0.394 0.570 0.899
0.402 0.078 0.244
0.404 0.740 0.921
0.419 0.385 0.191
0.419 0.391 0.904
0.420 0.060 0.849
0.420 0.602 0.295
0.421 0.581 0.587
0.421 0.921 0.913
0.423 0.264 0.962
0.425 0.724 0.232
0.428 0.935 0.635
0.432 0.071 0.575
0.432 0.259 0.249
0.436 0.716 0.521
0.553 0.253 0.752
0.553 0.391 0.688
0.558 0.931 0.130
0.567 0.389 0.406
0.571 0.261 0.464
0.573 0.049 0.359
0.573 0.922 0.419
0.576 0.720 0.022
0.579 0.069 0.070
0.579 0.593 0.080
0.582 0.601 0.797
0.584 0.727 0.737
0.606 0.077 0.745
0.607 0.247 0.066
0.607 0.583 0.407
0.608 0.403 0.081
0.608 0.742 0.419
0.610 0.248 0.357
0.614 0.899 0.736
0.616 0.410 0.802
0.618 0.733 0.128
0.624 0.908 0.016
0.626 0.066 0.464
0.633 0.585 0.693
0.670 0.475 0.579
0.677 0.154 0.253
0.678 0.508 0.185
0.680 0.174 0.569
0.682 0.826 0.239
0.683 0.475 0.301
0.687 0.503 0.904
0.689 0.809 0.916
0.693 0.150 0.963
0.695 0.840 0.523
0.700 0.806 0.628
0.703 0.178 0.858
0.793 0.677 0.359
0.794 0.307 0.127
0.797 0.342 0.022
0.800 0.649 0.465
0.802 0.308 0.416
0.809 0.000 0.404
0.812 0.975 0.801
0.813 0.675 0.068
0.817 0.009 0.685
0.817 0.335 0.737
0.821 0.648 0.752
0.831 0.975 0.081
0.858 0.087 0.192
0.872 0.232 0.629
0.873 0.568 0.962
0.874 0.909 0.303
0.876 0.750 0.856
0.879 0.405 0.519
0.880 0.399 0.236
0.884 0.903 0.582
0.886 0.083 0.906
0.886 0.243 0.918
0.886 0.746 0.567
0.889 0.576 0.246
0.911 0.102 0.297
0.914 0.093 0.581
0.916 0.228 0.237
0.918 0.221 0.524
0.920 0.569 0.570
0.921 0.423 0.918
0.921 0.548 0.857
0.923 0.761 0.962
0.925 0.890 0.906
0.934 0.889 0.187
0.938 0.434 0.633
0.947 0.753 0.252
```

Results
Its crystal system is triclinic. The space group is P1.

=====

Number 1: E_form -2.444 eV per atom, total DFT energy (no corrections) -6.432 eV/atom. Number 2: E_form -2.160 eV per atom, total DFT energy (no corrections) -6.379 eV/atom.